(1)
Computed, not measured: Na2ZnBr4 after structural relaxation at the meta-GGA r2SCAN level of DFT.

Values from the calculation:
- Energy relative to the elements: -1491 meV/atom
- M_tot: 0.0 Bohr magnetons per cell
- Symmetry: Pnma, No. 62
- VASP energy: -0.4174 hartree per atom

a = 14.4152 Å, b = 8.4946 Å, c = 6.7316 Å
α = 90.00°, β = 90.00°, γ = 90.00°
Last column: nearest neighbours and their distance in Å.
Element x y z (fractional)
Na 0.0000 0.0000 0.0000  6 Br 2.92-2.98
Na 0.0000 0.5000 0.0000  6 Br 2.92-2.98
Na 0.2307 0.2500 0.4902  6 Br 2.91-3.01
Na 0.2693 0.7500 0.9902  6 Br 2.91-3.01
Na 0.5000 0.0000 0.5000  6 Br 2.92-2.98
Na 0.5000 0.5000 0.5000  6 Br 2.92-2.98
Na 0.7307 0.2500 0.0098  6 Br 2.91-3.01
Na 0.7693 0.7500 0.5098  6 Br 2.91-3.01
Zn 0.0912 0.7500 0.4056  4 Br 2.39-2.44
Zn 0.4088 0.2500 0.9056  4 Br 2.39-2.44
Zn 0.5912 0.7500 0.0944  4 Br 2.39-2.44
Zn 0.9088 0.2500 0.5944  4 Br 2.39-2.44
Br 0.0646 0.2500 0.7367  1 Zn 2.44
Br 0.0914 0.7500 0.7603  1 Zn 2.39
Br 0.1669 0.5237 0.2561  1 Zn 2.43
Br 0.1669 0.9763 0.2561  1 Zn 2.43
Br 0.3331 0.0237 0.7561  1 Zn 2.43
Br 0.3331 0.4763 0.7561  1 Zn 2.43
Br 0.4086 0.2500 0.2603  1 Zn 2.39
Br 0.4354 0.7500 0.2367  1 Zn 2.44
Br 0.5646 0.2500 0.7633  1 Zn 2.44
Br 0.5914 0.7500 0.7397  1 Zn 2.39
Br 0.6669 0.5237 0.2439  1 Zn 2.43
Br 0.6669 0.9763 0.2439  1 Zn 2.43
Br 0.8331 0.0237 0.7439  1 Zn 2.43
Br 0.8331 0.4763 0.7439  1 Zn 2.43
Br 0.9086 0.2500 0.2397  1 Zn 2.39
Br 0.9354 0.7500 0.2633  1 Zn 2.44


(2)
Computed, not measured: LaTh after structural relaxation at the meta-GGA r2SCAN level of DFT.

Values from the calculation:
- Energy relative to the elements: 42 meV/atom
- M_tot: 0.0 Bohr magnetons per cell
- Symmetry: R-3m, No. 166
- VASP energy: -1.8951 hartree per atom

a = 6.2989 Å, b = 6.2989 Å, c = 6.2989 Å
α = 33.48°, β = 33.48°, γ = 33.48°
Last column: nearest neighbours and their distance in Å.
Element x y z (fractional)
La 0.0000 0.0000 0.0000  6 La 3.63, 6 Th 3.63
Th 0.5000 0.5000 0.5000  6 Th 3.63, 6 La 3.63


(3)
Computed, not measured: Ca4Bi2O after structural relaxation at the meta-GGA r2SCAN level of DFT.

Values from the calculation:
- Energy relative to the elements: -1711 meV/atom
- M_tot: 0.0 Bohr magnetons per cell
- Symmetry: I4/mmm, No. 139
- VASP energy: -0.8563 hartree per atom

a = 8.9259 Å, b = 8.9259 Å, c = 8.9259 Å
α = 149.12°, β = 149.12°, γ = 44.24°
Last column: nearest neighbours and their distance in Å.
Element x y z (fractional)
Ca 0.0000 0.5000 0.5000  2 O 2.38
Ca 0.1627 0.1627 0.0000  1 O 2.69
Ca 0.5000 0.0000 0.5000  2 O 2.38
Ca 0.8373 0.8373 0.0000  1 O 2.69
Bi 0.3592 0.3592 0.0000  9 Ca 3.25-3.38
Bi 0.6408 0.6408 0.0000  9 Ca 3.25-3.38
O 0.0000 0.0000 0.0000  4 Ca 2.38


(4)
Computed, not measured: Ti3O2 after structural relaxation at the meta-GGA r2SCAN level of DFT.

Values from the calculation:
- Energy relative to the elements: -2252 meV/atom
- M_tot: 0.0 Bohr magnetons per cell
- Symmetry: R-3c, No. 167
- VASP energy: -0.4558 hartree per atom

a = 5.7634 Å, b = 5.7634 Å, c = 5.7634 Å
α = 52.54°, β = 52.54°, γ = 52.54°
Last column: nearest neighbours and their distance in Å.
Element x y z (fractional)
Ti 0.0808 0.7500 0.4192  4 O 2.07-2.13
Ti 0.2500 0.5808 0.9192  4 O 2.07-2.13
Ti 0.4192 0.0808 0.7500  4 O 2.07-2.13
Ti 0.5808 0.9192 0.2500  4 O 2.07-2.13
Ti 0.7500 0.4192 0.0808  4 O 2.07-2.13
Ti 0.9192 0.2500 0.5808  4 O 2.07-2.13
O 0.1625 0.1625 0.1625  6 Ti 2.07-2.13
O 0.3375 0.3375 0.3375  6 Ti 2.07-2.13
O 0.6625 0.6625 0.6625  6 Ti 2.07-2.13
O 0.8375 0.8375 0.8375  6 Ti 2.07-2.13


(5)
Computed, not measured: RbTb3F10 after structural relaxation at the meta-GGA r2SCAN level of DFT.

Values from the calculation:
- Energy relative to the elements: -4309 meV/atom
- M_tot: 0.0 Bohr magnetons per cell
- Symmetry: Fm-3m, No. 225
- VASP energy: -0.5229 hartree per atom

a = 8.2189 Å, b = 8.2189 Å, c = 8.2189 Å
α = 60.00°, β = 60.00°, γ = 60.00°
Last column: nearest neighbours and their distance in Å.
Element x y z (fractional)
Rb 0.2500 0.2500 0.2500  4 F 2.80
Rb 0.7500 0.7500 0.7500  4 F 2.80
Tb 0.2399 0.2399 0.7601  8 F 2.22-2.36
Tb 0.2399 0.7601 0.2399  8 F 2.22-2.36
Tb 0.2399 0.7601 0.7601  8 F 2.22-2.36
Tb 0.7601 0.2399 0.2399  8 F 2.22-2.36
Tb 0.7601 0.2399 0.7601  8 F 2.22-2.36
Tb 0.7601 0.7601 0.2399  8 F 2.22-2.36
F 0.1108 0.1108 0.1108  3 Tb 2.36, 3 F 2.58
F 0.1108 0.1108 0.6676  3 Tb 2.36, 3 F 2.58
F 0.1108 0.6676 0.1108  3 Tb 2.36, 3 F 2.58
F 0.1688 0.5000 0.5000  2 Tb 2.22
F 0.1688 0.5000 0.8312  2 Tb 2.22
F 0.1688 0.8312 0.5000  2 Tb 2.22
F 0.3324 0.8892 0.8892  3 Tb 2.36, 3 F 2.58
F 0.5000 0.1688 0.5000  2 Tb 2.22
F 0.5000 0.1688 0.8312  2 Tb 2.22
F 0.5000 0.5000 0.1688  2 Tb 2.22
F 0.5000 0.5000 0.8312  2 Tb 2.22
F 0.5000 0.8312 0.1688  2 Tb 2.22
F 0.5000 0.8312 0.5000  2 Tb 2.22
F 0.6676 0.1108 0.1108  3 Tb 2.36, 3 F 2.58
F 0.8312 0.1688 0.5000  2 Tb 2.22
F 0.8312 0.5000 0.1688  2 Tb 2.22
F 0.8312 0.5000 0.5000  2 Tb 2.22
F 0.8892 0.3324 0.8892  3 Tb 2.36, 3 F 2.58
F 0.8892 0.8892 0.3324  3 Tb 2.36, 3 F 2.58
F 0.8892 0.8892 0.8892  3 Tb 2.36, 3 F 2.58


(6)
Computed, not measured: GdAsO4 after structural relaxation at the meta-GGA r2SCAN level of DFT.

Values from the calculation:
- Energy relative to the elements: -2581 meV/atom
- M_tot: 14.0 Bohr magnetons per cell
- Symmetry: I4_1/amd, No. 141
- VASP energy: -0.5971 hartree per atom

a = 5.9826 Å, b = 5.9826 Å, c = 5.9826 Å
α = 106.48°, β = 106.48°, γ = 115.63°
Last column: nearest neighbours and their distance in Å.
Element x y z (fractional)
Gd 0.3750 0.6250 0.7500  8 O 2.34-2.46
Gd 0.6250 0.3750 0.2500  8 O 2.34-2.46
As 0.1250 0.8750 0.2500  4 O 1.70
As 0.8750 0.1250 0.7500  4 O 1.70
O 0.1333 0.7028 0.4306  1 As 1.70
O 0.2278 0.2972 0.9306  1 As 1.70
O 0.2972 0.2278 0.4306  1 As 1.70
O 0.2972 0.8667 0.0694  1 As 1.70
O 0.7028 0.1333 0.9306  1 As 1.70
O 0.7028 0.7722 0.5694  1 As 1.70
O 0.7722 0.7028 0.0694  1 As 1.70
O 0.8667 0.2972 0.5694  1 As 1.70


(7)
Computed, not measured: Mg3Zn after structural relaxation at the meta-GGA r2SCAN level of DFT.

Values from the calculation:
- Energy relative to the elements: -28 meV/atom
- M_tot: 0.0 Bohr magnetons per cell
- Symmetry: P6_3/mmc, No. 194
- VASP energy: -0.1978 hartree per atom

a = 6.1387 Å, b = 6.1387 Å, c = 4.7875 Å
α = 90.00°, β = 90.00°, γ = 120.00°
Last column: nearest neighbours and their distance in Å.
Element x y z (fractional)
Mg 0.1709 0.3419 0.2500  4 Zn 2.95-3.07, 8 Mg 2.99-3.15
Mg 0.1709 0.8291 0.2500  4 Zn 2.95-3.07, 8 Mg 2.99-3.15
Mg 0.3419 0.1709 0.7500  4 Zn 2.95-3.07, 8 Mg 2.99-3.15
Mg 0.6581 0.8291 0.2500  4 Zn 2.95-3.07, 8 Mg 2.99-3.15
Mg 0.8291 0.1709 0.7500  4 Zn 2.95-3.07, 8 Mg 2.99-3.15
Mg 0.8291 0.6581 0.7500  4 Zn 2.95-3.07, 8 Mg 2.99-3.15
Zn 0.3333 0.6667 0.7500  12 Mg 2.95-3.07
Zn 0.6667 0.3333 0.2500  12 Mg 2.95-3.07


(8)
Computed, not measured: ErAl after structural relaxation at the meta-GGA r2SCAN level of DFT.

Values from the calculation:
- Energy relative to the elements: -469 meV/atom
- M_tot: 0.0 Bohr magnetons per cell
- Symmetry: Pbcm, No. 57
- VASP energy: -0.7643 hartree per atom

a = 5.7706 Å, b = 11.2841 Å, c = 5.5501 Å
α = 90.00°, β = 90.00°, γ = 90.00°
Last column: nearest neighbours and their distance in Å.
Element x y z (fractional)
Er 0.0997 0.1680 0.2500  6 Al 3.02-3.25, 3 Er 3.27-3.34
Er 0.0997 0.3320 0.7500  6 Al 3.02-3.25, 3 Er 3.27-3.34
Er 0.3382 0.0162 0.7500  8 Al 3.02-3.35, 3 Er 3.27-3.37
Er 0.3382 0.4838 0.2500  8 Al 3.02-3.35, 3 Er 3.27-3.37
Er 0.6618 0.5162 0.7500  8 Al 3.02-3.35, 3 Er 3.27-3.37
Er 0.6618 0.9838 0.2500  8 Al 3.02-3.35, 3 Er 3.27-3.37
Er 0.9003 0.6680 0.2500  6 Al 3.02-3.25, 3 Er 3.27-3.34
Er 0.9003 0.8320 0.7500  6 Al 3.02-3.25, 3 Er 3.27-3.34
Al 0.1609 0.5977 0.7500  2 Al 2.70, 2 Er 3.02
Al 0.1609 0.9023 0.2500  2 Al 2.70, 2 Er 3.02
Al 0.4313 0.7500 0.0000  4 Al 2.70-2.78
Al 0.4313 0.7500 0.5000  4 Al 2.70-2.78
Al 0.5687 0.2500 0.0000  4 Al 2.70-2.78
Al 0.5687 0.2500 0.5000  4 Al 2.70-2.78
Al 0.8391 0.0977 0.7500  2 Al 2.70, 2 Er 3.02
Al 0.8391 0.4023 0.2500  2 Al 2.70, 2 Er 3.02


(9)
Computed, not measured: ErGeRh after structural relaxation at the meta-GGA r2SCAN level of DFT.

Values from the calculation:
- Energy relative to the elements: -1074 meV/atom
- M_tot: 0.0 Bohr magnetons per cell
- Symmetry: Pnma, No. 62
- VASP energy: -0.9206 hartree per atom

a = 6.8435 Å, b = 4.2648 Å, c = 7.4936 Å
α = 90.00°, β = 90.00°, γ = 90.00°
Last column: nearest neighbours and their distance in Å.
Element x y z (fractional)
Er 0.0024 0.2500 0.1959  6 Rh 2.96-3.32, 5 Ge 2.97-2.99
Er 0.4976 0.7500 0.6959  6 Rh 2.96-3.32, 5 Ge 2.97-2.99
Er 0.5024 0.2500 0.3041  6 Rh 2.96-3.32, 5 Ge 2.97-2.99
Er 0.9976 0.7500 0.8041  6 Rh 2.96-3.32, 5 Ge 2.97-2.99
Ge 0.2122 0.7500 0.3931  4 Rh 2.53-2.61
Ge 0.2878 0.2500 0.8931  4 Rh 2.53-2.61
Ge 0.7122 0.7500 0.1069  4 Rh 2.53-2.61
Ge 0.7878 0.2500 0.6069  4 Rh 2.53-2.61
Rh 0.1549 0.2500 0.5660  4 Ge 2.53-2.61
Rh 0.3451 0.7500 0.0660  4 Ge 2.53-2.61
Rh 0.6549 0.2500 0.9340  4 Ge 2.53-2.61
Rh 0.8451 0.7500 0.4340  4 Ge 2.53-2.61


(10)
Computed, not measured: Ba4IrO6 after structural relaxation at the meta-GGA r2SCAN level of DFT.

Values from the calculation:
- Energy relative to the elements: -2304 meV/atom
- M_tot: 2.0 Bohr magnetons per cell
- Symmetry: R-3c, No. 167
- VASP energy: -0.7335 hartree per atom

a = 7.3077 Å, b = 7.3077 Å, c = 7.3077 Å
α = 89.68°, β = 89.68°, γ = 89.68°
Last column: nearest neighbours and their distance in Å.
Element x y z (fractional)
Ba 0.1168 0.7500 0.3832  8 O 2.74-2.88
Ba 0.2500 0.2500 0.2500  6 O 2.63
Ba 0.2500 0.6168 0.8832  8 O 2.74-2.88
Ba 0.3832 0.1168 0.7500  8 O 2.74-2.88
Ba 0.6168 0.8832 0.2500  8 O 2.74-2.88
Ba 0.7500 0.3832 0.1168  8 O 2.74-2.88
Ba 0.7500 0.7500 0.7500  6 O 2.63
Ba 0.8832 0.2500 0.6168  8 O 2.74-2.88
Ir 0.0000 0.0000 0.0000  6 O 2.09
Ir 0.5000 0.5000 0.5000  6 O 2.09
O 0.0614 0.9280 0.7304  1 Ir 2.09
O 0.0720 0.2696 0.9386  1 Ir 2.09
O 0.2304 0.4280 0.5614  1 Ir 2.09
O 0.2696 0.9386 0.0720  1 Ir 2.09
O 0.4280 0.5614 0.2304  1 Ir 2.09
O 0.4386 0.7696 0.5720  1 Ir 2.09
O 0.5614 0.2304 0.4280  1 Ir 2.09
O 0.5720 0.4386 0.7696  1 Ir 2.09
O 0.7304 0.0614 0.9280  1 Ir 2.09
O 0.7696 0.5720 0.4386  1 Ir 2.09
O 0.9280 0.7304 0.0614  1 Ir 2.09
O 0.9386 0.0720 0.2696  1 Ir 2.09


(11)
Computed, not measured: HfAlNi after structural relaxation at the meta-GGA r2SCAN level of DFT.

Values from the calculation:
- Energy relative to the elements: -683 meV/atom
- M_tot: 0.0 Bohr magnetons per cell
- Symmetry: P-62m, No. 189
- VASP energy: -0.8074 hartree per atom

a = 6.8425 Å, b = 6.8425 Å, c = 3.4078 Å
α = 90.00°, β = 90.00°, γ = 120.00°
Last column: nearest neighbours and their distance in Å.
Element x y z (fractional)
Hf 0.0000 0.5907 0.0000  5 Ni 2.68-2.80, 6 Al 2.89-2.98
Hf 0.4093 0.4093 0.0000  5 Ni 2.68-2.80, 6 Al 2.89-2.98
Hf 0.5907 0.0000 0.0000  5 Ni 2.68-2.80, 6 Al 2.89-2.98
Al 0.0000 0.2501 0.5000  4 Ni 2.41-2.61
Al 0.2501 0.0000 0.5000  4 Ni 2.41-2.61
Al 0.7499 0.7499 0.5000  4 Ni 2.41-2.61
Ni 0.0000 0.0000 0.0000  6 Al 2.41
Ni 0.3333 0.6667 0.5000  3 Al 2.61, 6 Hf 2.68
Ni 0.6667 0.3333 0.5000  3 Al 2.61, 6 Hf 2.68


(12)
Computed, not measured: Mg3Sc after structural relaxation at the meta-GGA r2SCAN level of DFT.

Values from the calculation:
- Energy relative to the elements: -20 meV/atom
- M_tot: 0.7 Bohr magnetons per cell
- Symmetry: P6_3/mmc, No. 194
- VASP energy: -0.2204 hartree per atom

a = 6.4064 Å, b = 6.4064 Å, c = 5.0916 Å
α = 90.00°, β = 90.00°, γ = 120.00°
Last column: nearest neighbours and their distance in Å.
Element x y z (fractional)
Mg 0.1666 0.3332 0.2500  8 Mg 3.15-3.20, 4 Sc 3.15-3.20
Mg 0.1666 0.8334 0.2500  8 Mg 3.15-3.20, 4 Sc 3.15-3.20
Mg 0.3332 0.1666 0.7500  8 Mg 3.15-3.20, 4 Sc 3.15-3.20
Mg 0.6668 0.8334 0.2500  8 Mg 3.15-3.20, 4 Sc 3.15-3.20
Mg 0.8334 0.1666 0.7500  8 Mg 3.15-3.20, 4 Sc 3.15-3.20
Mg 0.8334 0.6668 0.7500  8 Mg 3.15-3.20, 4 Sc 3.15-3.20
Sc 0.3333 0.6667 0.7500  12 Mg 3.15-3.20
Sc 0.6667 0.3333 0.2500  12 Mg 3.15-3.20